Compound: Lu3P6Pd20
Source: the Materials Project database
Functional: GGA-PBE
Structure: relaxed

Computed properties:
Its density is 10.3 g/cm³. For the formation energy, the calculation gives -0.74 eV/atom. The calculation puts the volume at 458.0 Å³ per cell.

Cell and atoms, written as POSCAR:
```
Lu3P6Pd20
1.0
0.000 6.118 6.118
6.118 0.000 6.118
6.118 6.118 0.000
Lu P Pd
3 6 20
direct
0.000 0.000 0.000
0.250 0.250 0.250
0.750 0.750 0.750
0.265 0.265 0.735
0.265 0.735 0.265
0.265 0.735 0.735
0.735 0.265 0.265
0.735 0.265 0.735
0.735 0.735 0.265
0.000 0.000 0.344
0.000 0.000 0.656
0.000 0.344 0.000
0.000 0.344 0.656
0.000 0.656 0.000
0.000 0.656 0.344
0.150 0.617 0.617
0.344 0.000 0.000
0.344 0.000 0.656
0.344 0.656 0.000
0.383 0.383 0.383
0.383 0.383 0.850
0.383 0.850 0.383
0.617 0.150 0.617
0.617 0.617 0.150
0.617 0.617 0.617
0.656 0.000 0.000
0.656 0.000 0.344
0.656 0.344 0.000
0.850 0.383 0.383
```

Compound: NaCeO2
Source: the Materials Project database
Functional: GGA-PBE
Structure: relaxed

Computed properties:
Its density is 5.2 g/cm³. For the formation energy, the calculation gives -2.97 eV/atom. The calculation puts the volume at 125.5 Å³ per cell.

Cell and atoms, written as POSCAR:
```
NaCeO2
1.0
-2.395 2.395 5.467
2.395 -2.395 5.467
2.395 2.395 -5.467
Na Ce O
2 2 4
direct
0.375 0.625 0.750
0.625 0.375 0.250
0.125 0.875 0.250
0.875 0.125 0.750
0.096 0.346 0.750
0.346 0.096 0.250
0.654 0.904 0.750
0.904 0.654 0.250
```

Compound: Si3H
Source: the Materials Project database
Functional: GGA-PBE
Structure: relaxed

Computed properties:
The calculation puts the energy above the most stable polymorph in this dataset at 582 meV/atom. Its density is 2.9 g/cm³. For the formation energy, the calculation gives 0.57 eV/atom. The calculation puts the volume at 48.8 Å³ per cell.

Cell and atoms, written as POSCAR:
```
Si3H
1.0
0.000 2.901 2.901
2.901 0.000 2.901
2.901 2.901 0.000
Si H
3 1
direct
0.000 0.000 0.000
0.250 0.250 0.250
0.750 0.750 0.750
0.500 0.500 0.500
```

Compound: LiCr2S4
Source: the Materials Project database
Functional: GGA-PBE
Structure: relaxed

Computed properties:
The calculation puts the energy above the most stable polymorph in this dataset at 161 meV/atom. Its density is 3.2 g/cm³. For the formation energy, the calculation gives -0.93 eV/atom. The calculation puts the volume at 251.0 Å³ per cell.

Cell and atoms, written as POSCAR:
```
LiCr2S4
1.0
-3.539 3.548 4.998
3.539 -3.548 4.998
3.539 3.548 -4.998
Li Cr S
2 4 8
direct
0.500 0.000 0.000
0.500 0.500 0.500
0.000 0.000 0.000
0.123 0.373 0.750
0.500 0.000 0.500
0.877 0.627 0.250
0.235 0.241 0.994
0.249 0.232 0.483
0.249 0.766 0.017
0.254 0.759 0.494
0.746 0.241 0.506
0.751 0.234 0.983
0.751 0.768 0.517
0.765 0.759 0.006
```

Compound: PrGa8Fe2
Source: the Materials Project database
Functional: GGA-PBE
Structure: relaxed

Computed properties:
Its density is 7.3 g/cm³. For the formation energy, the calculation gives -0.33 eV/atom. The calculation puts the volume at 733.5 Å³ per cell.

Cell and atoms, written as POSCAR:
```
PrGa8Fe2
1.0
12.640 0.000 0.000
0.000 14.308 0.000
0.000 0.000 4.056
Pr Ga Fe
4 32 8
direct
0.157 0.181 0.000
0.343 0.681 0.000
0.657 0.319 0.000
0.843 0.819 0.000
0.000 0.000 0.000
0.000 0.500 0.500
0.025 0.866 0.500
0.048 0.318 0.500
0.098 0.745 0.000
0.164 0.454 0.000
0.164 0.621 0.500
0.169 0.009 0.500
0.239 0.826 0.500
0.261 0.326 0.500
0.331 0.509 0.500
0.336 0.121 0.500
0.336 0.954 0.000
0.402 0.245 0.000
0.452 0.818 0.500
0.475 0.366 0.500
0.500 0.000 0.500
0.500 0.500 0.000
0.525 0.634 0.500
0.548 0.182 0.500
0.598 0.755 0.000
0.664 0.046 0.000
0.664 0.879 0.500
0.669 0.491 0.500
0.739 0.674 0.500
0.761 0.174 0.500
0.831 0.991 0.500
0.836 0.379 0.500
0.836 0.546 0.000
0.902 0.255 0.000
0.952 0.682 0.500
0.975 0.134 0.500
0.034 0.591 0.000
0.152 0.903 0.000
0.348 0.403 0.000
0.466 0.091 0.000
0.534 0.909 0.000
0.652 0.597 0.000
0.848 0.097 0.000
0.966 0.409 0.000
```

Compound: NdIn2Ni9
Source: the Materials Project database
Functional: GGA-PBE
Structure: relaxed

Computed properties:
Its density is 9.0 g/cm³. For the formation energy, the calculation gives -0.21 eV/atom. The calculation puts the volume at 333.3 Å³ per cell.

Cell and atoms, written as POSCAR:
```
NdIn2Ni9
1.0
8.281 0.000 0.000
0.000 8.281 0.000
0.000 0.000 4.861
Nd In Ni
2 4 18
direct
0.000 0.000 0.000
0.500 0.500 0.000
0.124 0.376 0.000
0.376 0.876 0.000
0.624 0.124 0.000
0.876 0.624 0.000
0.000 0.500 0.500
0.064 0.209 0.500
0.177 0.677 0.248
0.177 0.677 0.752
0.209 0.936 0.500
0.291 0.436 0.500
0.323 0.177 0.248
0.323 0.177 0.752
0.436 0.709 0.500
0.500 0.000 0.500
0.564 0.291 0.500
0.677 0.823 0.248
0.677 0.823 0.752
0.709 0.564 0.500
0.791 0.064 0.500
0.823 0.323 0.248
0.823 0.323 0.752
0.936 0.791 0.500
```

Compound: TiAsRh
Source: the Materials Project database
Functional: GGA-PBE
Structure: relaxed

Computed properties:
Its density is 8.2 g/cm³. For the formation energy, the calculation gives -0.88 eV/atom. The calculation puts the volume at 183.6 Å³ per cell.

Cell and atoms, written as POSCAR:
```
TiAsRh
1.0
6.390 0.000 0.000
0.000 3.852 0.000
0.000 0.000 7.460
Ti As Rh
4 4 4
direct
0.031 0.250 0.182
0.469 0.750 0.682
0.531 0.250 0.318
0.969 0.750 0.818
0.249 0.250 0.878
0.251 0.750 0.378
0.749 0.250 0.622
0.751 0.750 0.122
0.144 0.250 0.564
0.356 0.750 0.064
0.644 0.250 0.936
0.856 0.750 0.436
```

Compound: Ce2Nd2O7
Source: the Materials Project database
Functional: GGA-PBE
Structure: relaxed

Computed properties:
The calculation puts the energy above the most stable polymorph in this dataset at 24 meV/atom. Its density is 6.6 g/cm³. For the formation energy, the calculation gives -3.79 eV/atom. The calculation puts the volume at 686.4 Å³ per cell.

Cell and atoms, written as POSCAR:
```
Ce2Nd2O7
1.0
9.574 0.000 0.000
-3.118 9.067 0.000
-3.276 -4.497 7.907
Ce Nd O
8 8 28
direct
0.000 0.000 0.000
0.002 0.252 0.746
0.005 0.750 0.247
0.033 0.528 0.521
0.255 0.258 0.501
0.265 0.010 0.755
0.504 0.502 0.979
0.755 0.506 0.745
0.205 0.485 0.230
0.240 0.734 0.993
0.479 0.263 0.247
0.501 0.021 0.514
0.512 0.766 0.781
0.747 0.253 0.977
0.776 0.980 0.256
0.801 0.774 0.524
0.009 0.496 0.749
0.016 0.994 0.249
0.031 0.013 0.766
0.034 0.769 0.509
0.248 0.262 0.741
0.248 0.265 0.248
0.250 0.762 0.757
0.253 0.023 0.514
0.260 0.761 0.263
0.269 0.530 0.508
0.276 0.003 0.032
0.280 0.492 0.020
0.499 0.996 0.740
0.500 0.250 0.488
0.502 0.496 0.744
0.507 0.273 0.013
0.508 0.759 0.017
0.740 0.993 0.497
0.750 0.760 0.743
0.753 0.726 0.247
0.755 0.512 0.987
0.760 0.268 0.746
0.761 0.496 0.477
0.771 0.025 0.027
0.974 0.488 0.249
0.990 0.749 0.988
0.992 0.241 0.976
0.999 0.261 0.482
```